--- 1 ---
This record from Materials Project describes a relaxed structure of MgV4Sb2P6O24. The functional is GGA+U.

Cell: 15.383 8.852 8.850 Å, 90.00 124.12 90.00°
Space group C2 (No. 5)
Inequivalent atoms, fractional coordinates:
Mg (0.000, 0.000, 0.000)
V (0.101, 0.399, 0.303)
V (0.104, 0.888, 0.811)
Sb (0.232, 0.383, 0.723)
P (0.000, 0.595, 0.500)
P (0.000, 0.684, 0.000)
P (0.143, 0.254, 0.000)
P (0.144, 0.038, 0.474)
O (0.041, 0.305, 0.826)
O (0.051, 0.998, 0.279)
O (0.057, 0.593, 0.176)
O (0.061, 0.679, 0.678)
O (0.083, 0.480, 0.504)
O (0.083, 0.798, 0.015)
O (0.135, 0.985, 0.626)
O (0.140, 0.076, 0.019)
O (0.157, 0.318, 0.174)
O (0.160, 0.218, 0.493)
O (0.237, 0.301, 0.990)
O (0.245, 0.974, 0.488)

Properties
- M_tot (μB/f.u.) = 10.00
- volume (Å³/atom) = 13.5

***

--- 2 ---
This record from Materials Project describes a relaxed structure of MgV4Sb2P6O24. The functional is GGA+U.

Cell: 8.751 8.752 9.091 Å, 118.71 90.14 119.87°
Space group P1 (No. 1)
Inequivalent atoms, fractional coordinates:
Mg (0.000, 0.000, 0.000)
V (0.117, 0.233, 0.348)
V (0.399, 0.795, 0.195)
V (0.601, 0.205, 0.805)
V (0.885, 0.768, 0.652)
Sb (0.249, 0.503, 0.754)
Sb (0.748, 0.495, 0.246)
P (0.216, 0.000, 0.499)
P (0.298, 0.001, 0.002)
P (0.500, 0.717, 0.501)
P (0.703, 0.703, 0.001)
P (0.785, 0.285, 0.500)
P (0.999, 0.296, 0.998)
O (0.017, 0.813, 0.466)
O (0.039, 0.291, 0.160)
O (0.131, 0.879, 0.839)
O (0.164, 0.486, 0.999)
O (0.203, 0.187, 0.534)
O (0.253, 0.123, 0.163)
O (0.267, 0.915, 0.332)
O (0.321, 0.835, 0.003)
O (0.347, 0.550, 0.534)
O (0.352, 0.085, 0.669)
O (0.415, 0.681, 0.331)
O (0.487, 0.165, 0.001)
O (0.516, 0.684, 0.007)
O (0.583, 0.935, 0.668)
O (0.652, 0.066, 0.333)
O (0.653, 0.668, 0.465)
O (0.677, 0.510, 0.994)
O (0.734, 0.320, 0.668)
O (0.746, 0.711, 0.839)
O (0.799, 0.451, 0.464)
O (0.831, 0.316, 0.995)
O (0.872, 0.908, 0.162)
O (0.960, 0.090, 0.836)
O (0.988, 0.336, 0.537)

Properties
- M_tot (μB/f.u.) = 10.00
- volume (Å³/atom) = 13.6

***

Verdict on stability: 2 comes out at the bottom.

***

--- 1 ---
This record from Materials Project describes a relaxed structure of MgV4P4O20. The functional is GGA+U.

Cell: 5.210 7.463 10.312 Å, 69.17 88.51 69.82°
Space group P1 (No. 1)
Inequivalent atoms, fractional coordinates:
Mg (0.000, 0.000, 0.000)
V (0.378, 0.303, 0.969)
V (0.378, 0.792, 0.718)
V (0.482, 0.808, 0.241)
V (0.957, 0.307, 0.455)
P (0.099, 0.585, 0.160)
P (0.732, 0.085, 0.743)
P (0.809, 0.085, 0.258)
P (0.997, 0.564, 0.662)
O (0.038, 0.941, 0.801)
O (0.064, 0.440, 0.568)
O (0.074, 0.427, 0.816)
O (0.103, 0.929, 0.284)
O (0.133, 0.461, 0.066)
O (0.147, 0.438, 0.314)
O (0.150, 0.721, 0.623)
O (0.205, 0.082, 0.532)
O (0.301, 0.704, 0.123)
O (0.319, 0.078, 0.041)
O (0.455, 0.587, 0.863)
O (0.545, 0.958, 0.763)
O (0.596, 0.985, 0.312)
O (0.624, 0.585, 0.375)
O (0.663, 0.199, 0.847)
O (0.683, 0.698, 0.631)
O (0.704, 0.233, 0.592)
O (0.735, 0.199, 0.094)
O (0.788, 0.245, 0.325)
O (0.812, 0.763, 0.124)

Properties
- M_tot (μB/f.u.) = 2.00
- volume (Å³/atom) = 12.1

***

--- 2 ---
This record from Materials Project describes a relaxed structure of MgV4P4O20. The functional is GGA+U.

Cell: 5.281 7.340 10.204 Å, 70.13 75.45 69.38°
Space group P-1 (No. 2)
Inequivalent atoms, fractional coordinates:
Mg (0.000, 0.000, 0.000)
V (0.000, 0.500, 0.500)
V (0.478, 0.252, 0.258)
V (0.500, 0.000, 0.000)
P (0.106, 0.943, 0.315)
P (0.123, 0.451, 0.813)
O (0.145, 0.733, 0.418)
O (0.174, 0.239, 0.922)
O (0.175, 0.429, 0.661)
O (0.182, 0.430, 0.155)
O (0.201, 0.928, 0.160)
O (0.204, 0.936, 0.670)
O (0.277, 0.051, 0.344)
O (0.312, 0.557, 0.830)
O (0.328, 0.349, 0.399)
O (0.404, 0.864, 0.909)

Properties
- M_tot (μB/f.u.) = 0.00
- volume (Å³/atom) = 11.9

***

Verdict on stability: 2 comes out at the bottom.

***

--- 1 ---
This record from Materials Project describes a relaxed structure of MgV8P12O48. The functional is GGA+U.

Cell: 8.541 8.565 11.969 Å, 89.41 89.28 89.59°
Space group P1 (No. 1)
Inequivalent atoms, fractional coordinates:
Mg (0.000, 0.000, 0.000)
V (0.011, 0.187, 0.304)
V (0.012, 0.683, 0.561)
V (0.070, 0.193, 0.787)
V (0.071, 0.670, 0.068)
V (0.506, 0.688, 0.295)
V (0.510, 0.184, 0.560)
V (0.563, 0.685, 0.795)
V (0.573, 0.183, 0.064)
P (0.158, 0.039, 0.537)
P (0.161, 0.535, 0.330)
P (0.285, 0.969, 0.182)
P (0.290, 0.463, 0.683)
P (0.421, 0.041, 0.825)
P (0.428, 0.541, 0.036)
P (0.655, 0.830, 0.535)
P (0.657, 0.328, 0.323)
P (0.786, 0.407, 0.672)
P (0.798, 0.905, 0.183)
P (0.919, 0.331, 0.038)
P (0.920, 0.820, 0.820)
O (0.014, 0.223, 0.957)
O (0.019, 0.787, 0.926)
O (0.049, 0.079, 0.441)
O (0.065, 0.641, 0.411)
O (0.111, 0.140, 0.639)
O (0.117, 0.578, 0.210)
O (0.128, 0.364, 0.357)
O (0.154, 0.864, 0.565)
O (0.169, 0.894, 0.098)
O (0.175, 0.540, 0.604)
O (0.200, 0.108, 0.238)
O (0.214, 0.366, 0.778)
O (0.243, 0.069, 0.848)
O (0.259, 0.598, 0.008)
O (0.330, 0.086, 0.506)
O (0.340, 0.561, 0.345)
O (0.343, 0.852, 0.270)
O (0.384, 0.592, 0.741)
O (0.399, 0.361, 0.610)
O (0.423, 0.038, 0.111)
O (0.429, 0.362, 0.047)
O (0.445, 0.860, 0.838)
O (0.465, 0.089, 0.705)
O (0.484, 0.625, 0.139)
O (0.526, 0.123, 0.908)
O (0.534, 0.592, 0.935)
O (0.545, 0.275, 0.422)
O (0.558, 0.747, 0.448)
O (0.600, 0.780, 0.653)
O (0.606, 0.239, 0.220)
O (0.629, 0.010, 0.523)
O (0.649, 0.506, 0.311)
O (0.656, 0.839, 0.245)
O (0.679, 0.507, 0.749)
O (0.693, 0.274, 0.618)
O (0.741, 0.308, 0.016)
O (0.747, 0.780, 0.848)
O (0.758, 0.009, 0.078)
O (0.824, 0.278, 0.358)
O (0.833, 0.809, 0.521)
O (0.863, 0.505, 0.581)
O (0.891, 0.765, 0.131)
O (0.903, 0.324, 0.752)
O (0.903, 0.994, 0.262)
O (0.932, 0.001, 0.811)
O (0.953, 0.502, 0.009)
O (0.962, 0.282, 0.156)
O (0.978, 0.727, 0.721)

Properties
- M_tot (μB/f.u.) = 5.99
- volume (Å³/atom) = 12.7

***

--- 2 ---
This record from Materials Project describes a relaxed structure of MgV8P12O48. The functional is GGA+U.

Cell: 8.475 8.620 11.955 Å, 89.99 89.48 89.48°
Space group P1 (No. 1)
Inequivalent atoms, fractional coordinates:
Mg (0.000, 0.000, 0.000)
V (0.032, 0.187, 0.721)
V (0.036, 0.132, 0.233)
V (0.036, 0.624, 0.957)
V (0.038, 0.692, 0.457)
V (0.527, 0.685, 0.720)
V (0.531, 0.628, 0.225)
V (0.536, 0.192, 0.459)
V (0.543, 0.131, 0.953)
P (0.175, 0.542, 0.697)
P (0.176, 0.268, 0.983)
P (0.255, 0.413, 0.337)
P (0.318, 0.911, 0.349)
P (0.391, 0.774, 0.983)
P (0.401, 0.045, 0.698)
P (0.674, 0.545, 0.483)
P (0.678, 0.274, 0.197)
P (0.754, 0.413, 0.834)
P (0.816, 0.909, 0.833)
P (0.890, 0.043, 0.489)
P (0.897, 0.771, 0.196)
O (0.064, 0.194, 0.892)
O (0.075, 0.634, 0.616)
O (0.119, 0.321, 0.289)
O (0.134, 0.435, 0.013)
O (0.137, 0.155, 0.082)
O (0.137, 0.592, 0.818)
O (0.158, 0.364, 0.689)
O (0.181, 0.534, 0.418)
O (0.210, 0.772, 0.001)
O (0.214, 0.020, 0.276)
O (0.221, 0.838, 0.444)
O (0.224, 0.057, 0.725)
O (0.349, 0.255, 0.950)
O (0.353, 0.484, 0.242)
O (0.353, 0.574, 0.675)
O (0.360, 0.305, 0.412)
O (0.395, 0.794, 0.267)
O (0.431, 0.720, 0.863)
O (0.439, 0.152, 0.596)
O (0.440, 0.873, 0.665)
O (0.441, 0.948, 0.994)
O (0.451, 0.008, 0.401)
O (0.480, 0.674, 0.067)
O (0.510, 0.090, 0.793)
O (0.575, 0.596, 0.383)
O (0.579, 0.183, 0.113)
O (0.620, 0.503, 0.774)
O (0.625, 0.653, 0.583)
O (0.630, 0.376, 0.515)
O (0.635, 0.227, 0.318)
O (0.658, 0.452, 0.184)
O (0.670, 0.299, 0.914)
O (0.706, 0.797, 0.776)
O (0.713, 0.077, 0.510)
O (0.719, 0.763, 0.215)
O (0.748, 0.002, 0.935)
O (0.848, 0.524, 0.906)
O (0.852, 0.556, 0.463)
O (0.855, 0.333, 0.743)
O (0.856, 0.237, 0.177)
O (0.892, 0.016, 0.747)
O (0.917, 0.866, 0.508)
O (0.927, 0.082, 0.367)
O (0.944, 0.937, 0.156)
O (0.945, 0.660, 0.097)
O (0.956, 0.825, 0.894)
O (0.994, 0.142, 0.566)
O (0.994, 0.731, 0.299)

Properties
- M_tot (μB/f.u.) = 5.99
- volume (Å³/atom) = 12.7

***

Verdict on stability: 1 comes out at the bottom.

***

--- 1 ---
This record from Materials Project describes a relaxed structure of MgVPO5. The functional is GGA+U.

Cell: 5.289 7.115 10.936 Å, 102.15 99.36 106.97°
Space group P1 (No. 1)
Inequivalent atoms, fractional coordinates:
Mg (0.000, 0.000, 0.000)
Mg (0.116, 0.111, 0.619)
Mg (0.500, 0.499, 0.500)
Mg (0.616, 0.611, 0.119)
V (0.058, 0.055, 0.310)
V (0.058, 0.555, 0.310)
V (0.558, 0.055, 0.810)
V (0.558, 0.555, 0.810)
P (0.040, 0.624, 0.619)
P (0.076, 0.486, 0.001)
P (0.540, 0.125, 0.119)
P (0.577, 0.986, 0.501)
O (0.179, 0.858, 0.676)
O (0.197, 0.348, 0.352)
O (0.220, 0.539, 0.147)
O (0.251, 0.513, 0.637)
O (0.290, 0.039, 0.174)
O (0.325, 0.572, 0.946)
O (0.365, 0.098, 0.482)
O (0.396, 0.073, 0.973)
O (0.419, 0.263, 0.768)
O (0.437, 0.753, 0.444)
O (0.679, 0.358, 0.176)
O (0.697, 0.848, 0.852)
O (0.720, 0.039, 0.647)
O (0.751, 0.013, 0.137)
O (0.791, 0.539, 0.674)
O (0.826, 0.071, 0.446)
O (0.865, 0.598, 0.982)
O (0.895, 0.572, 0.473)
O (0.919, 0.763, 0.267)
O (0.937, 0.253, 0.943)

Properties
- M_tot (μB/f.u.) = 0.00
- volume (Å³/atom) = 11.7

***

--- 2 ---
This record from Materials Project describes a relaxed structure of MgVPO5. The functional is GGA+U.

Cell: 5.307 5.451 7.049 Å, 105.51 104.48 101.24°
Space group P1 (No. 1)
Inequivalent atoms, fractional coordinates:
Mg (0.000, 0.000, 0.000)
Mg (0.391, 0.691, 0.470)
V (0.716, 0.370, 0.257)
V (0.718, 0.363, 0.756)
P (0.054, 0.025, 0.501)
P (0.387, 0.720, 0.015)
O (0.006, 0.737, 0.353)
O (0.040, 0.217, 0.374)
O (0.098, 0.644, 0.856)
O (0.346, 0.075, 0.648)
O (0.404, 0.546, 0.157)
O (0.414, 0.010, 0.146)
O (0.607, 0.708, 0.907)
O (0.625, 0.464, 0.511)
O (0.814, 0.274, 0.006)
O (0.847, 0.030, 0.622)

Properties
- M_tot (μB/f.u.) = 0.38
- volume (Å³/atom) = 11.4
- piezoelectric modulus e_max (C/m²) = 0.4

***

Verdict on stability: 2 comes out at the bottom.